Record 1
Zr6NiBi2: relaxed, r²SCAN.

Computed properties:
The total magnetic moment is 0.000 μB per formula unit. The value obtained for the energy relative to the elements is -0.435 eV/atom. The calculated total energy is -29.934 eV per atom. As for the space group: P-62m, No. 189.

abc: 7.8928 7.8928 3.7019
angles: 90.00 90.00 120.00
Last column: nearest neighbours and their distance in Å.
Fractional positions:
Zr  0.0000  0.3943  0.0000  4 Bi 3.05, 1 Ni 3.11, 4 Zr 3.28
Zr  0.0000  0.7638  0.5000  2 Ni 2.63
Zr  0.2362  0.2362  0.5000  2 Ni 2.63
Zr  0.3943  0.0000  0.0000  4 Bi 3.05, 1 Ni 3.11, 4 Zr 3.28
Zr  0.6057  0.6057  0.0000  4 Bi 3.05, 1 Ni 3.11, 4 Zr 3.28
Zr  0.7638  0.0000  0.5000  2 Ni 2.63
Ni  0.0000  0.0000  0.0000  6 Zr 2.63
Bi  0.3333  0.6667  0.5000  9 Zr 3.05-3.09
Bi  0.6667  0.3333  0.5000  9 Zr 3.05-3.09

Record 2
BiO2: relaxed, r²SCAN.

Computed properties:
The total magnetic moment is 0.000 μB per formula unit. The value obtained for the energy relative to the elements is -1.046 eV/atom. The value obtained for the energy above the most stable polymorph in this dataset is 72 meV/atom. The calculated total energy is -24.528 eV per atom.

abc: 6.2149 6.2149 6.2149
angles: 110.71 108.85 108.86
Last column: nearest neighbours and their distance in Å.
Fractional positions:
O  0.1924  0.4425  0.7499  3 Bi 2.22-2.25
O  0.1927  0.9425  0.2501  3 Bi 2.22-2.25
O  0.3079  0.9999  0.8078  3 Bi 2.23-2.25
O  0.8073  0.0575  0.7499  3 Bi 2.22-2.25
O  0.6921  0.0001  0.1922  3 Bi 2.23-2.25
O  0.6921  0.4999  0.6920  3 Bi 2.23-2.25
O  0.3079  0.5001  0.3080  3 Bi 2.23-2.25
Bi  0.0000  0.5000  0.0000  6 O 2.23-2.25
Bi  0.0000  0.0000  0.5000  6 O 2.23-2.25
Bi  0.5002  0.2500  0.2502  6 O 2.22-2.25
Bi  0.4998  0.7500  0.7498  6 O 2.22-2.25
O  0.8076  0.5575  0.2501  3 Bi 2.22-2.25

Record 3
BiO2: relaxed, r²SCAN.

Computed properties:
The total magnetic moment is 0.000 μB per formula unit. The value obtained for the energy relative to the elements is -1.118 eV/atom. The value obtained for the energy above the most stable polymorph in this dataset is 0 meV/atom. The calculated total energy is -24.601 eV per atom. As for the space group: C2/c, No. 15.

abc: 6.7233 6.7233 5.5888
angles: 106.85 106.85 45.47
Last column: nearest neighbours and their distance in Å.
Fractional positions:
Bi  0.0000  0.5000  0.0000  6 O 2.10-2.15
Bi  0.2334  0.7666  0.7500  4 O 2.18-2.31
Bi  0.5000  0.0000  0.5000  6 O 2.10-2.15
Bi  0.7666  0.2334  0.2500  4 O 2.18-2.31
O  0.0102  0.1769  0.9801  3 Bi 2.10-2.31
O  0.1769  0.0102  0.4801  3 Bi 2.10-2.31
O  0.2614  0.3863  0.3518  2 Bi 2.13-2.15
O  0.3863  0.2614  0.8518  2 Bi 2.13-2.15
O  0.6137  0.7386  0.1482  2 Bi 2.13-2.15
O  0.7386  0.6137  0.6482  2 Bi 2.13-2.15
O  0.8231  0.9898  0.5199  3 Bi 2.10-2.31
O  0.9898  0.8231  0.0199  3 Bi 2.10-2.31

Record 4
Bi13O20: relaxed, r²SCAN.

Computed properties:
The total magnetic moment is 1.000 μB per formula unit. The value obtained for the energy relative to the elements is -1.272 eV/atom. The calculated total energy is -27.938 eV per atom. As for the space group: I23, No. 197.

abc: 8.9098 8.9098 8.9098
angles: 109.47 109.47 109.47
Last column: nearest neighbours and their distance in Å.
Fractional positions:
Bi  0.0000  0.0000  0.0000  4 O 2.14
Bi  0.1455  0.8092  0.3071  3 O 2.09-2.25
Bi  0.1616  0.6637  0.8545  3 O 2.09-2.25
Bi  0.1908  0.3363  0.4979  3 O 2.09-2.25
Bi  0.3071  0.1455  0.8092  3 O 2.09-2.25
Bi  0.3363  0.4979  0.1908  3 O 2.09-2.25
Bi  0.4979  0.1908  0.3363  3 O 2.09-2.25
Bi  0.5021  0.8384  0.6929  3 O 2.09-2.25
Bi  0.6637  0.8545  0.1616  3 O 2.09-2.25
Bi  0.6929  0.5021  0.8384  3 O 2.09-2.25
Bi  0.8092  0.3071  0.1455  3 O 2.09-2.25
Bi  0.8384  0.6929  0.5021  3 O 2.09-2.25
Bi  0.8545  0.1616  0.6637  3 O 2.09-2.25
O  0.0000  0.0000  0.2399  1 Bi 2.14
O  0.0000  0.0000  0.6284  3 Bi 2.25
O  0.0000  0.2399  0.0000  1 Bi 2.14
O  0.0000  0.6284  0.0000  3 Bi 2.25
O  0.1112  0.3757  0.7520  2 Bi 2.09-2.24
O  0.2399  0.0000  0.0000  1 Bi 2.14
O  0.2480  0.6237  0.3592  2 Bi 2.09-2.24
O  0.2645  0.8888  0.6408  2 Bi 2.09-2.24
O  0.3592  0.2480  0.6237  2 Bi 2.09-2.24
O  0.3716  0.3716  0.3716  3 Bi 2.25
O  0.3763  0.6243  0.7355  2 Bi 2.09-2.24
O  0.3757  0.7520  0.1112  2 Bi 2.09-2.24
O  0.6237  0.3592  0.2480  2 Bi 2.09-2.24
O  0.6243  0.7355  0.3763  2 Bi 2.09-2.24
O  0.6284  0.0000  0.0000  3 Bi 2.25
O  0.6408  0.2645  0.8888  2 Bi 2.09-2.24
O  0.7355  0.3763  0.6243  2 Bi 2.09-2.24
O  0.7520  0.1112  0.3757  2 Bi 2.09-2.24
O  0.7601  0.7601  0.7601  1 Bi 2.14
O  0.8888  0.6408  0.2645  2 Bi 2.09-2.24

Record 5
BiO2: relaxed, r²SCAN.

Computed properties:
The total magnetic moment is 0.000 μB per formula unit. The value obtained for the energy relative to the elements is -1.016 eV/atom. The value obtained for the energy above the most stable polymorph in this dataset is 102 meV/atom. The calculated total energy is -24.499 eV per atom. As for the space group: P-1, No. 2.

abc: 4.2449 4.2450 6.5248
angles: 71.71 71.83 89.92
Last column: nearest neighbours and their distance in Å.
Fractional positions:
Bi  0.1298  0.3708  0.2500  6 O 2.22-2.27
Bi  0.8702  0.6292  0.7500  6 O 2.22-2.27
O  0.0770  0.8159  0.3621  3 Bi 2.22-2.27
O  0.3156  0.5756  0.8621  3 Bi 2.22-2.27
O  0.6844  0.4244  0.1379  3 Bi 2.22-2.27
O  0.9230  0.1841  0.6379  3 Bi 2.22-2.27

Record 6
Bi2Os2O7: relaxed, r²SCAN.

Computed properties:
The total magnetic moment is 0.000 μB per formula unit. The value obtained for the energy relative to the elements is -1.141 eV/atom. The calculated total energy is -25.212 eV per atom. As for the space group: Fd-3m, No. 227.

abc: 7.3253 7.3253 7.3253
angles: 60.00 60.00 60.00
Last column: nearest neighbours and their distance in Å.
Fractional positions:
Bi  0.0000  0.0000  0.0000  2 O 2.24
Bi  0.0000  0.0000  0.5000  2 O 2.24
Bi  0.0000  0.5000  0.0000  2 O 2.24
Bi  0.5000  0.0000  0.0000  2 O 2.24
Os  0.0000  0.5000  0.5000  6 O 2.00
Os  0.5000  0.0000  0.5000  6 O 2.00
Os  0.5000  0.5000  0.0000  6 O 2.00
Os  0.5000  0.5000  0.5000  6 O 2.00
O  0.1250  0.1250  0.1250  4 Bi 2.24
O  0.1717  0.1717  0.5783  2 Os 2.00
O  0.1717  0.5783  0.1717  2 Os 2.00
O  0.1717  0.5783  0.5783  2 Os 2.00
O  0.4217  0.4217  0.8283  2 Os 2.00
O  0.4217  0.8283  0.4217  2 Os 2.00
O  0.4217  0.8283  0.8283  2 Os 2.00
O  0.5783  0.1717  0.1717  2 Os 2.00
O  0.5783  0.1717  0.5783  2 Os 2.00
O  0.5783  0.5783  0.1717  2 Os 2.00
O  0.8283  0.4217  0.4217  2 Os 2.00
O  0.8283  0.4217  0.8283  2 Os 2.00
O  0.8283  0.8283  0.4217  2 Os 2.00
O  0.8750  0.8750  0.8750  4 Bi 2.24

Record 7
BiP3O9: relaxed, r²SCAN.

Computed properties:
The total magnetic moment is 0.000 μB per formula unit. The value obtained for the energy relative to the elements is -2.201 eV/atom. The calculated total energy is -12.913 eV per atom. As for the space group: P2_1/c, No. 14.

abc: 7.1646 6.9212 13.7170
angles: 90.00 93.62 90.00
Last column: nearest neighbours and their distance in Å.
Fractional positions:
Bi  0.2405  0.1340  0.0663  6 O 2.26-2.41
Bi  0.2405  0.3660  0.5663  6 O 2.26-2.41
Bi  0.7595  0.6340  0.4337  6 O 2.26-2.41
Bi  0.7595  0.8660  0.9337  6 O 2.26-2.41
P  0.2358  0.6843  0.3643  4 O 1.49-1.58
P  0.2358  0.8157  0.8643  4 O 1.49-1.58
P  0.2935  0.1017  0.3238  4 O 1.47-1.59
P  0.2935  0.3983  0.8238  4 O 1.47-1.59
P  0.2931  0.6071  0.1585  4 O 1.48-1.60
P  0.2931  0.8929  0.6585  4 O 1.48-1.60
P  0.7069  0.1071  0.3415  4 O 1.48-1.60
P  0.7069  0.3929  0.8415  4 O 1.48-1.60
P  0.7065  0.6017  0.1762  4 O 1.47-1.59
P  0.7065  0.8983  0.6762  4 O 1.47-1.59
P  0.7642  0.1843  0.1357  4 O 1.49-1.58
P  0.7642  0.3157  0.6357  4 O 1.49-1.58
O  0.0896  0.6083  0.4280  1 P 1.50
O  0.0896  0.8917  0.9280  1 P 1.50
O  0.1909  0.5959  0.8443  2 P 1.57-1.59
O  0.1909  0.9041  0.3443  2 P 1.57-1.59
O  0.1990  0.5863  0.2605  2 P 1.58-1.60
O  0.1990  0.9137  0.7605  2 P 1.58-1.60
O  0.2045  0.0353  0.5886  1 P 1.49
O  0.2045  0.4647  0.0886  1 P 1.49
O  0.2144  0.1767  0.2281  1 P 1.49
O  0.2144  0.3233  0.7281  1 P 1.49
O  0.2838  0.2315  0.4085  1 P 1.47
O  0.2838  0.2685  0.9085  1 P 1.47
O  0.2959  0.6868  0.6303  1 P 1.48
O  0.2959  0.8132  0.1303  1 P 1.48
O  0.4322  0.6578  0.4035  1 P 1.49
O  0.4322  0.8422  0.9035  1 P 1.49
O  0.4988  0.5308  0.1890  2 P 1.59-1.60
O  0.4988  0.9692  0.6890  2 P 1.59-1.60
O  0.5012  0.0308  0.3110  2 P 1.59-1.60
O  0.5012  0.4692  0.8110  2 P 1.59-1.60
O  0.5678  0.1578  0.0965  1 P 1.49
O  0.5678  0.3422  0.5965  1 P 1.49
O  0.7041  0.1868  0.8697  1 P 1.48
O  0.7041  0.3132  0.3697  1 P 1.48
O  0.7162  0.7315  0.0915  1 P 1.47
O  0.7162  0.7685  0.5915  1 P 1.47
O  0.7856  0.6767  0.2719  1 P 1.49
O  0.7856  0.8233  0.7719  1 P 1.49
O  0.7955  0.5353  0.9114  1 P 1.49
O  0.7955  0.9647  0.4114  1 P 1.49
O  0.8010  0.0863  0.2395  2 P 1.58-1.60
O  0.8010  0.4137  0.7395  2 P 1.58-1.60
O  0.8091  0.0959  0.6557  2 P 1.57-1.59
O  0.8091  0.4041  0.1557  2 P 1.57-1.59
O  0.9104  0.1083  0.0720  1 P 1.50
O  0.9104  0.3917  0.5720  1 P 1.50

Record 8
BiP5O14: relaxed, r²SCAN.

Computed properties:
The total magnetic moment is 0.000 μB per formula unit. The value obtained for the energy relative to the elements is -2.199 eV/atom. The calculated total energy is -11.555 eV per atom. As for the space group: Pnma, No. 62.

abc: 8.7465 12.9331 9.0676
angles: 90.00 90.00 90.00
Last column: nearest neighbours and their distance in Å.
Fractional positions:
Bi  0.0215  0.2500  0.0624  8 O 2.32-2.53
Bi  0.4785  0.7500  0.5624  8 O 2.32-2.53
Bi  0.5215  0.2500  0.4376  8 O 2.32-2.53
Bi  0.9785  0.7500  0.9376  8 O 2.32-2.53
P  0.0077  0.5838  0.2984  4 O 1.46-1.57
P  0.0077  0.9162  0.2984  4 O 1.46-1.57
P  0.0689  0.7500  0.5052  4 O 1.47-1.62
P  0.2442  0.5633  0.7720  4 O 1.47-1.61
P  0.2442  0.9367  0.7720  4 O 1.47-1.61
P  0.2558  0.0633  0.2720  4 O 1.47-1.61
P  0.2558  0.4367  0.2720  4 O 1.47-1.61
P  0.4311  0.2500  0.0052  4 O 1.47-1.62
P  0.4923  0.0838  0.7984  4 O 1.46-1.57
P  0.4923  0.4162  0.7984  4 O 1.46-1.57
P  0.5077  0.5838  0.2016  4 O 1.46-1.57
P  0.5077  0.9162  0.2016  4 O 1.46-1.57
P  0.5689  0.7500  0.9948  4 O 1.47-1.62
P  0.7442  0.5633  0.7280  4 O 1.47-1.61
P  0.7442  0.9367  0.7280  4 O 1.47-1.61
P  0.7558  0.0633  0.2280  4 O 1.47-1.61
P  0.7558  0.4367  0.2280  4 O 1.47-1.61
P  0.9311  0.2500  0.4948  4 O 1.47-1.62
P  0.9923  0.0838  0.7016  4 O 1.46-1.57
P  0.9923  0.4162  0.7016  4 O 1.46-1.57
O  0.0071  0.6351  0.1554  1 P 1.46
O  0.0071  0.8649  0.1554  1 P 1.46
O  0.0256  0.1544  0.5656  2 P 1.56-1.62
O  0.0256  0.3456  0.5656  2 P 1.56-1.62
O  0.0368  0.7500  0.6642  1 P 1.47
O  0.1152  0.5022  0.6800  2 P 1.56-1.61
O  0.1152  0.9978  0.6800  2 P 1.56-1.61
O  0.1571  0.1112  0.1588  1 P 1.48
O  0.1571  0.3888  0.1588  1 P 1.48
O  0.1623  0.5314  0.3441  2 P 1.57-1.61
O  0.1623  0.9686  0.3441  2 P 1.57-1.61
O  0.1761  0.6224  0.8939  1 P 1.47
O  0.1761  0.8776  0.8939  1 P 1.47
O  0.2254  0.7500  0.4427  1 P 1.48
O  0.2746  0.2500  0.9427  1 P 1.48
O  0.3239  0.1224  0.3939  1 P 1.47
O  0.3239  0.3776  0.3939  1 P 1.47
O  0.3377  0.0314  0.8441  2 P 1.57-1.61
O  0.3377  0.4686  0.8441  2 P 1.57-1.61
O  0.3429  0.6112  0.6588  1 P 1.48
O  0.3429  0.8888  0.6588  1 P 1.48
O  0.3848  0.0022  0.1800  2 P 1.56-1.61
O  0.3848  0.4978  0.1800  2 P 1.56-1.61
O  0.4632  0.2500  0.1642  1 P 1.47
O  0.4744  0.6544  0.0656  2 P 1.56-1.62
O  0.4744  0.8456  0.0656  2 P 1.56-1.62
O  0.4929  0.1351  0.6554  1 P 1.46
O  0.4929  0.3649  0.6554  1 P 1.46
O  0.5071  0.6351  0.3446  1 P 1.46
O  0.5071  0.8649  0.3446  1 P 1.46
O  0.5256  0.1544  0.9344  2 P 1.56-1.62
O  0.5256  0.3456  0.9344  2 P 1.56-1.62
O  0.5368  0.7500  0.8358  1 P 1.47
O  0.6152  0.5022  0.8200  2 P 1.56-1.61
O  0.6152  0.9978  0.8200  2 P 1.56-1.61
O  0.6571  0.1112  0.3412  1 P 1.48
O  0.6571  0.3888  0.3412  1 P 1.48
O  0.6623  0.5314  0.1559  2 P 1.57-1.61
O  0.6623  0.9686  0.1559  2 P 1.57-1.61
O  0.6761  0.6224  0.6061  1 P 1.47
O  0.6761  0.8776  0.6061  1 P 1.47
O  0.7254  0.7500  0.0573  1 P 1.48
O  0.7746  0.2500  0.5573  1 P 1.48
O  0.8239  0.1224  0.1061  1 P 1.47
O  0.8239  0.3776  0.1061  1 P 1.47
O  0.8377  0.0314  0.6559  2 P 1.57-1.61
O  0.8377  0.4686  0.6559  2 P 1.57-1.61
O  0.8429  0.6112  0.8412  1 P 1.48
O  0.8429  0.8888  0.8412  1 P 1.48
O  0.8848  0.0022  0.3200  2 P 1.56-1.61
O  0.8848  0.4978  0.3200  2 P 1.56-1.61
O  0.9632  0.2500  0.3358  1 P 1.47
O  0.9744  0.6544  0.4344  2 P 1.56-1.62
O  0.9744  0.8456  0.4344  2 P 1.56-1.62
O  0.9929  0.1351  0.8446  1 P 1.46
O  0.9929  0.3649  0.8446  1 P 1.46